First-principles (r2SCAN) data for an optimized crystal structure of LiDy2Ir, as listed in the Materials Project database.

Cell: 4.889 4.889 4.889 Å, 60.00 60.00 60.00°
Atoms (fractional coordinates):
Li 0.750 0.750 0.750
Dy 0.500 0.500 0.500
Dy 0.000 0.000 0.000
Ir 0.250 0.250 0.250

## Properties
- energy of formation (eV/atom) = -0.65


First-principles (r2SCAN) data for an optimized crystal structure of Dy4MgIr, as listed in the Materials Project database.

Cell: 9.680 9.680 9.680 Å, 60.00 60.00 60.00°
Atoms (fractional coordinates):
Dy 0.346 0.346 0.346
Dy 0.346 0.346 0.963
Dy 0.346 0.963 0.346
Dy 0.963 0.346 0.346
Dy 0.812 0.188 0.188
Dy 0.188 0.812 0.812
Dy 0.188 0.812 0.188
Dy 0.812 0.188 0.812
Dy 0.188 0.188 0.812
Dy 0.812 0.812 0.188
Dy 0.937 0.563 0.563
Dy 0.563 0.937 0.937
Dy 0.563 0.937 0.563
Dy 0.937 0.563 0.937
Dy 0.563 0.563 0.937
Dy 0.937 0.937 0.563
Mg 0.579 0.579 0.579
Mg 0.579 0.579 0.262
Mg 0.579 0.262 0.579
Mg 0.262 0.579 0.579
Ir 0.141 0.141 0.141
Ir 0.141 0.141 0.577
Ir 0.141 0.577 0.141
Ir 0.577 0.141 0.141

## Properties
- energy of formation (eV/atom) = -0.49


First-principles (r2SCAN) data for an optimized crystal structure of Dy5P12Ir19, as listed in the Materials Project database.

Cell: 12.639 12.639 3.963 Å, 90.00 90.00 120.00°
Atoms (fractional coordinates):
Dy 0.333 0.667 0.500
Dy 0.667 0.333 0.500
Dy 0.000 0.817 0.000
Dy 0.183 0.183 0.000
Dy 0.817 0.000 0.000
P 0.000 0.644 0.500
P 0.356 0.356 0.500
P 0.644 0.000 0.500
P 0.518 0.688 0.000
P 0.312 0.829 0.000
P 0.171 0.482 0.000
P 0.482 0.171 0.000
P 0.688 0.518 0.000
P 0.829 0.312 0.000
P 0.000 0.178 0.500
P 0.822 0.822 0.500
P 0.178 0.000 0.500
Ir 0.506 0.867 0.000
Ir 0.133 0.639 0.000
Ir 0.361 0.494 0.000
Ir 0.494 0.361 0.000
Ir 0.867 0.506 0.000
Ir 0.639 0.133 0.000
Ir 0.000 0.465 0.500
Ir 0.535 0.535 0.500
Ir 0.465 0.000 0.500
Ir 0.000 0.285 0.000
Ir 0.715 0.715 0.000
Ir 0.285 0.000 0.000
Ir 0.625 0.806 0.500
Ir 0.194 0.819 0.500
Ir 0.181 0.375 0.500
Ir 0.375 0.181 0.500
Ir 0.806 0.625 0.500
Ir 0.819 0.194 0.500
Ir 0.000 0.000 0.500

## Properties
- energy of formation (eV/atom) = -0.89


First-principles (r2SCAN) data for an optimized crystal structure of Dy2IrPd, as listed in the Materials Project database.

Cell: 4.864 4.864 4.864 Å, 60.00 60.00 60.00°
Atoms (fractional coordinates):
Dy 0.500 0.500 0.500
Dy 0.000 0.000 0.000
Ir 0.250 0.250 0.250
Pd 0.750 0.750 0.750

## Properties
- energy of formation (eV/atom) = -0.99


First-principles (r2SCAN) data for an optimized crystal structure of Dy2IrRh, as listed in the Materials Project database.

Cell: 4.815 4.815 4.815 Å, 60.00 60.00 60.00°
Atoms (fractional coordinates):
Dy 0.000 0.000 0.000
Dy 0.500 0.500 0.500
Ir 0.250 0.250 0.250
Rh 0.750 0.750 0.750

## Properties
- energy of formation (eV/atom) = -0.97


First-principles (r2SCAN) data for an optimized crystal structure of Dy2IrRu, as listed in the Materials Project database.

Cell: 4.793 4.793 4.793 Å, 60.00 60.00 60.00°
Atoms (fractional coordinates):
Dy 0.500 0.500 0.500
Dy 0.000 0.000 0.000
Ir 0.250 0.250 0.250
Ru 0.750 0.750 0.750

## Properties
- energy of formation (eV/atom) = -0.70


First-principles (r2SCAN) data for an optimized crystal structure of DySbIr, as listed in the Materials Project database.

Cell: 4.516 7.162 7.840 Å, 90.00 90.00 90.00°
Atoms (fractional coordinates):
Dy 0.250 0.512 0.194
Dy 0.750 0.488 0.806
Dy 0.750 0.988 0.694
Dy 0.250 0.012 0.306
Sb 0.250 0.679 0.588
Sb 0.750 0.321 0.412
Sb 0.750 0.821 0.088
Sb 0.250 0.179 0.912
Ir 0.250 0.792 0.913
Ir 0.750 0.208 0.087
Ir 0.750 0.708 0.413
Ir 0.250 0.292 0.587

## Properties
- energy of formation (eV/atom) = -1.03


First-principles (r2SCAN) data for an optimized crystal structure of K3DySi2O7, as listed in the Materials Project database.

Cell: 9.857 9.857 14.338 Å, 90.00 90.00 120.00°
Atoms (fractional coordinates):
K 0.000 0.000 0.500
K 0.332 0.000 0.091
K 0.332 0.332 0.591
K 0.000 0.668 0.591
K 0.000 0.332 0.091
K 0.668 0.668 0.091
K 0.332 0.000 0.409
K 0.000 0.000 0.000
K 0.333 0.667 0.750
K 0.667 0.333 0.250
K 0.667 0.333 0.750
K 0.333 0.667 0.250
K 0.668 0.668 0.409
K 0.668 0.000 0.909
K 0.000 0.668 0.909
K 0.000 0.332 0.409
K 0.668 0.000 0.591
K 0.332 0.332 0.909
Dy 0.000 0.000 0.750
Dy 0.333 0.667 0.000
Dy 0.667 0.333 0.500
Dy 0.667 0.333 0.000
Dy 0.333 0.667 0.500
Dy 0.000 0.000 0.250
Si 0.658 0.658 0.857
Si 0.342 0.000 0.857
Si 0.000 0.342 0.857
Si 0.000 0.658 0.357
Si 0.342 0.000 0.643
Si 0.342 0.342 0.357
Si 0.658 0.000 0.357
Si 0.342 0.342 0.143
Si 0.000 0.658 0.143
Si 0.000 0.342 0.643
Si 0.658 0.658 0.643
Si 0.658 0.000 0.143
O 0.408 0.000 0.750
O 0.408 0.408 0.250
O 0.000 0.592 0.250
O 0.000 0.408 0.750
O 0.592 0.592 0.750
O 0.592 0.000 0.250
O 0.823 0.823 0.852
O 0.177 0.000 0.852
O 0.000 0.177 0.852
O 0.000 0.823 0.352
O 0.177 0.000 0.648
O 0.177 0.177 0.352
O 0.823 0.000 0.352
O 0.177 0.177 0.148
O 0.000 0.823 0.148
O 0.000 0.177 0.648
O 0.823 0.823 0.648
O 0.823 0.000 0.148
O 0.322 0.844 0.908
O 0.156 0.477 0.908
O 0.523 0.678 0.908
O 0.477 0.322 0.408
O 0.678 0.523 0.592
O 0.678 0.156 0.408
O 0.844 0.523 0.408
O 0.156 0.678 0.092
O 0.523 0.844 0.092
O 0.477 0.156 0.592
O 0.844 0.322 0.592
O 0.322 0.477 0.092
O 0.678 0.156 0.092
O 0.844 0.523 0.092
O 0.477 0.322 0.092
O 0.523 0.678 0.592
O 0.322 0.477 0.408
O 0.322 0.844 0.592
O 0.678 0.523 0.908
O 0.156 0.678 0.408
O 0.523 0.844 0.408
O 0.477 0.156 0.908
O 0.844 0.322 0.908
O 0.156 0.477 0.592

## Properties
- energy of formation (eV/atom) = -2.97


First-principles (r2SCAN) data for an optimized crystal structure of KDyS2, as listed in the Materials Project database.

Cell: 7.670 7.670 7.670 Å, 30.51 30.51 30.51°
Atoms (fractional coordinates):
K 0.500 0.500 0.500
Dy 0.000 0.000 0.000
S 0.734 0.734 0.734
S 0.266 0.266 0.266

## Properties
- energy of formation (eV/atom) = -2.17


First-principles (r2SCAN) data for an optimized crystal structure of LaDy, as listed in the Materials Project database.

Cell: 3.707 3.707 5.878 Å, 90.00 90.00 120.00°
Atoms (fractional coordinates):
La 0.000 0.000 0.000
Dy 0.333 0.667 0.500

## Properties
- energy of formation (eV/atom) = 0.05


First-principles (r2SCAN) data for an optimized crystal structure of La3Dy, as listed in the Materials Project database.

Cell: 6.412 6.412 6.412 Å, 131.83 131.83 70.50°
Atoms (fractional coordinates):
La 0.750 0.250 0.500
La 0.250 0.750 0.500
La 0.500 0.500 0.000
Dy 0.000 0.000 0.000

## Properties
- energy of formation (eV/atom) = 0.03


First-principles (r2SCAN) data for an optimized crystal structure of LiDyO2, as listed in the Materials Project database.

Cell: 6.074 6.198 6.311 Å, 60.33 90.00 90.00°
Atoms (fractional coordinates):
Li 0.341 0.299 0.923
Li 0.841 0.701 0.577
Li 0.659 0.701 0.077
Li 0.159 0.299 0.423
Dy 0.868 0.230 0.026
Dy 0.632 0.230 0.526
Dy 0.132 0.770 0.974
Dy 0.368 0.770 0.474
O 0.607 0.451 0.737
O 0.821 0.983 0.857
O 0.107 0.549 0.763
O 0.393 0.549 0.263
O 0.179 0.017 0.143
O 0.321 0.017 0.643
O 0.679 0.983 0.357
O 0.893 0.451 0.237

## Properties
- energy of formation (eV/atom) = -3.21


Number 1: theoretical density 10.53 g cm⁻³. Number 2: theoretical density 8.97 g cm⁻³. Number 3: theoretical density 14.65 g cm⁻³. Number 4: theoretical density 12.73 g cm⁻³. Number 5: theoretical density 13.04 g cm⁻³. Number 6: theoretical density 13.18 g cm⁻³. Number 7: theoretical density 12.48 g cm⁻³. Number 8: theoretical density 3.70 g cm⁻³. Number 9: theoretical density 4.28 g cm⁻³. Number 10: theoretical density 7.15 g cm⁻³. Number 11: theoretical density 6.71 g cm⁻³. Number 12: theoretical density 6.48 g cm⁻³.